1.
DFT (GGA-PBE) results for a relaxed structure of SmMgWS4.

Magnetic moment = 5.54 μB/cell
Calculated formation energy = -9.45 eV/f.u.
Electronic total energy = -86.5 eV per cell

Unit cell a=7.6664 b=7.6664 c=7.6664 alpha=120.11 beta=119.26 gamma=90.55
Positions (direct):
Sm (0.0000, 0.0000, 0.0000)
Sm (0.5000, 0.0000, 0.5000)
Mg (0.3736, 0.6236, 0.7500)
Mg (0.6264, 0.3764, 0.2500)
W (0.0000, 0.0000, 0.5000)
W (0.0000, 0.5000, 0.0000)
S (0.2097, 0.7425, 0.4672)
S (0.2247, 0.2575, 0.9672)
S (0.2316, 0.2353, 0.5038)
S (0.2316, 0.7278, 0.9962)
S (0.7684, 0.2722, 0.0038)
S (0.7684, 0.7647, 0.4962)
S (0.7753, 0.7425, 0.0328)
S (0.7903, 0.2575, 0.5328)

2.
DFT (GGA-PBE) results for a relaxed structure of Sr2MgTi2S6.

Magnetic moment = 2.00 μB/cell
Relative energy among the computed polymorphs = 3.38 eV per formula unit
Calculated formation energy = -16.60 eV/f.u.
Electronic total energy = -59.2 eV per cell

Unit cell a=6.0867 b=7.6677 c=7.6677 alpha=53.45 beta=90.00 gamma=90.00
Positions (direct):
Sr (0.0000, 0.0000, 0.0000)
Sr (0.5000, 0.3262, 0.3262)
Mg (0.0000, 0.5677, 0.5677)
Ti (0.2706, 0.7422, 0.7422)
Ti (0.7294, 0.7422, 0.7422)
S (0.0000, 0.4037, 0.4037)
S (0.0000, 0.4545, 0.9381)
S (0.0000, 0.9381, 0.4545)
S (0.5000, 0.4316, 0.8808)
S (0.5000, 0.8808, 0.4316)
S (0.5000, 0.8902, 0.8902)

- Which of these has the lowest calculated formation energy?
  Sr2MgTi2S6

- Which of these has the lowest calculated formation energy?
  Sr2MgTi2S6

- What is the formula in the first record?
  SmMgWS4